This record from Materials Project describes an optimized crystal structure of NaCrP2S6. The functional is PBE. Values from VASP.

The value obtained for the energy above the most stable polymorph in this dataset is 0.00 eV/f.u. The calculation puts the electronic total energy at -5.23 eV/atom. For the maximum piezoelectric response, the calculation gives 0.3 C/m2.

Structure (Quantum ESPRESSO input):
```
&SYSTEM
  ibrav = 0, nat = 20, ntyp = 4
/
ATOMIC_SPECIES
Na 22.99 Na.upf
Cr 52.00 Cr.upf
P 30.97 P.upf
S 32.06 S.upf
CELL_PARAMETERS angstrom
0.0000 5.6003 10.4861
4.1081 0.0000 10.4861
4.1081 5.6003 0.0000
ATOMIC_POSITIONS crystal
Na 0.0000 0.0000 0.0000
Na 0.2500 0.2500 0.2500
Cr 0.3354 0.3354 0.6646
Cr 0.5854 0.5854 0.9146
P 0.0042 0.3440 0.8781
P 0.3440 0.0042 0.7737
P 0.3719 0.4763 0.2458
P 0.4763 0.3719 0.9060
S 0.0290 0.4879 0.9505
S 0.1218 0.5727 0.4436
S 0.2178 0.6111 0.8196
S 0.2995 0.7174 0.2210
S 0.3881 0.8064 0.6773
S 0.4304 0.8985 0.0322
S 0.4879 0.0290 0.5326
S 0.5727 0.1218 0.8619
S 0.6111 0.2178 0.3515
S 0.7174 0.2995 0.7621
S 0.8064 0.3881 0.1282
S 0.8985 0.4304 0.6389
```